CaNiF5 | r²SCAN | relaxed

Computed properties:
Formation energy in eV per atom: -2.870

CIF file:
```
data_CaNiF5
_symmetry_space_group_name_H-M 'P 1 21/c 1'
_symmetry_Int_Tables_number 14
_symmetry_space_group_name_Hall '-P 2ybc'
_cell_length_a 5.4009
_cell_length_b 9.9721
_cell_length_c 7.5252
_cell_angle_alpha 90.00
_cell_angle_beta 110.16
_cell_angle_gamma 90.00
loop_
_atom_site_label
_atom_site_fract_x
_atom_site_fract_y
_atom_site_fract_z
Ca1 0.0372 0.0220 0.2585
Ni1 0.3891 0.2473 0.6004
F1 0.0955 0.1252 0.5557
F2 0.1368 0.1155 0.0002
F3 0.3372 0.6375 0.3691
F4 0.3588 0.1931 0.3421
F5 0.3966 0.6039 0.7995
```